No. 1
Compound: Li2Cu2F5
Source: the Materials Project
Functional: PBE
Structure: relaxed

```
data_Li2Cu2F5
_chemical_formula_sum 'Li8 Cu8 F20'
_cell_length_a 10.798
_cell_length_b 3.035
_cell_length_c 12.208
_cell_angle_alpha 90.00
_cell_angle_beta 90.00
_cell_angle_gamma 90.00
_symmetry_space_group_name_H-M 'P n a 21'
_symmetry_Int_Tables_number 33
loop_
_symmetry_equiv_pos_as_xyz
'x,y,z'
'-x,-y,z+1/2'
'-x+1/2,y+1/2,z+1/2'
'x+1/2,-y+1/2,z'
loop_
_atom_site_label
_atom_site_type_symbol
_atom_site_fract_x
_atom_site_fract_y
_atom_site_fract_z
Li1 Li 0.035 0.221 0.000
Li2 Li 0.216 0.219 0.648
Cu1 Cu 0.004 0.296 0.263
Cu2 Cu 0.244 0.186 0.385
F1 F 0.062 0.285 0.419
F2 F 0.083 0.739 0.624
F3 F 0.126 0.235 0.824
F4 F 0.168 0.713 0.024
F5 F 0.186 0.206 0.228
```

Results
* calculated formation energy: -2.265 eV per atom
* uncorrected energy: -158.6 eV for the cell shown

***

No. 2
Compound: In2H6C5O11
Source: the Materials Project
Functional: PBE
Structure: relaxed

```
data_In2H6C5O11
_chemical_formula_sum 'In8 H24 C20 O44'
_cell_length_a 8.747
_cell_length_b 11.138
_cell_length_c 13.598
_cell_angle_alpha 90.00
_cell_angle_beta 113.52
_cell_angle_gamma 90.00
_symmetry_space_group_name_H-M 'P 1 21/c 1'
_symmetry_Int_Tables_number 14
loop_
_symmetry_equiv_pos_as_xyz
'x,y,z'
'-x,-y,-z'
'-x,y+1/2,-z+1/2'
'x,-y+1/2,z+1/2'
loop_
_atom_site_label
_atom_site_type_symbol
_atom_site_fract_x
_atom_site_fract_y
_atom_site_fract_z
In1 In 0.072 0.234 0.332
In2 In 0.341 0.613 0.213
H1 H 0.051 0.508 0.193
H2 H 0.129 0.094 0.545
H3 H 0.155 0.616 0.482
H4 H 0.266 0.077 0.132
H5 H 0.335 0.607 0.913
H6 H 0.450 0.153 0.941
C1 C 0.148 0.678 0.544
C2 C 0.251 0.088 0.538
C3 C 0.269 0.128 0.203
C4 C 0.271 0.674 0.850
C5 C 0.377 0.093 0.874
O1 O 0.014 0.669 0.560
O2 O 0.078 0.581 0.162
O3 O 0.114 0.664 0.802
O4 O 0.128 0.145 0.207
O5 O 0.221 0.109 0.825
O6 O 0.271 0.747 0.588
O7 O 0.275 0.149 0.466
O8 O 0.362 0.019 0.601
O9 O 0.365 0.750 0.333
O10 O 0.407 0.164 0.272
O11 O 0.457 0.011 0.851
```

Results
* calculated formation energy: -1.354 eV per atom
* uncorrected energy: -605.5 eV for the cell shown

***

No. 3
Compound: Ce2Ni22C3
Source: the Materials Project
Functional: PBE
Structure: relaxed

```
data_Ce2Ni22C3
_chemical_formula_sum 'Ce16 Ni176 C24'
_cell_length_a 11.335
_cell_length_b 14.918
_cell_length_c 14.591
_cell_angle_alpha 90.00
_cell_angle_beta 90.00
_cell_angle_gamma 90.00
_symmetry_space_group_name_H-M 'C m c e'
_symmetry_Int_Tables_number 64
_symmetry_space_group_name_Hall '-C 2ac 2'
loop_
_atom_site_label
_atom_site_type_symbol
_atom_site_fract_x
_atom_site_fract_y
_atom_site_fract_z
Ce1 Ce 0.000 0.209 0.027
Ce2 Ce 0.250 0.063 0.750
Ni1 Ni 0.000 0.000 0.000
Ni2 Ni 0.000 0.000 0.500
Ni3 Ni 0.000 0.003 0.325
Ni4 Ni 0.000 0.059 0.842
Ni5 Ni 0.000 0.146 0.415
Ni6 Ni 0.000 0.158 0.712
Ni7 Ni 0.000 0.181 0.232
Ni8 Ni 0.108 0.212 0.844
Ni9 Ni 0.111 0.120 0.578
Ni10 Ni 0.127 0.078 0.129
Ni11 Ni 0.169 0.123 0.298
Ni12 Ni 0.175 0.077 0.950
Ni13 Ni 0.176 0.036 0.427
Ni14 Ni 0.180 0.249 0.683
Ni15 Ni 0.221 0.189 0.451
C1 C 0.000 0.056 0.211
C2 C 0.245 0.188 0.917
```

Results
* calculated formation energy: -0.129 eV per atom
* uncorrected energy: -1361.6 eV for the cell shown

***

No. 4
Compound: Mn10ZnN8
Source: the Materials Project
Functional: PBE
Structure: relaxed

```
data_Mn10ZnN8
_chemical_formula_sum 'Mn20 Zn2 N16'
_cell_length_a 15.054
_cell_length_b 4.044
_cell_length_c 7.017
_cell_angle_alpha 90.00
_cell_angle_beta 112.81
_cell_angle_gamma 90.00
_symmetry_space_group_name_H-M 'C 1 2/m 1'
_symmetry_Int_Tables_number 12
loop_
_symmetry_equiv_pos_as_xyz
'x,y,z'
'-x,-y,-z'
'-x,y,-z'
'x,-y,z'
'x+1/2,y+1/2,z'
'-x+1/2,-y+1/2,-z'
'-x+1/2,y+1/2,-z'
'x+1/2,-y+1/2,z'
loop_
_atom_site_label
_atom_site_type_symbol
_atom_site_fract_x
_atom_site_fract_y
_atom_site_fract_z
Mn1 Mn 0.034 0.000 0.284
Mn2 Mn 0.093 0.500 0.981
Mn3 Mn 0.181 0.500 0.411
Mn4 Mn 0.194 0.000 0.197
Mn5 Mn 0.200 0.000 0.839
Zn1 Zn 0.000 0.500 0.500
N1 N 0.045 0.500 0.222
N2 N 0.092 0.000 0.938
N3 N 0.176 0.000 0.448
N4 N 0.197 0.500 0.864
```

Results
* calculated formation energy: -0.251 eV per atom
* uncorrected energy: -322.9 eV for the cell shown